(1)
Here is a geometry-optimized CaGeAu structure from Materials Project. Energies are from GGA-PBE.

Cell and atoms, written as POSCAR:
```
CaGeAu
1.0
-3.904 2.243 0.702
-4.033 -6.196 -2.635
-0.948 -7.984 20.225
Ge Ca Au
12 12 12
direct
0.250 0.417 0.771
0.750 0.586 0.104
0.250 0.083 0.271
0.750 0.910 0.931
0.750 0.583 0.229
0.750 0.917 0.729
0.250 0.410 0.569
0.750 0.590 0.431
0.750 0.914 0.604
0.250 0.090 0.069
0.250 0.086 0.396
0.250 0.414 0.896
0.250 0.716 0.001
0.750 0.216 0.499
0.750 0.284 0.999
0.750 0.209 0.834
0.750 0.208 0.167
0.250 0.709 0.666
0.750 0.291 0.334
0.750 0.292 0.667
0.250 0.791 0.166
0.250 0.784 0.501
0.250 0.792 0.833
0.250 0.708 0.333
0.250 0.084 0.594
0.250 0.412 0.238
0.750 0.916 0.068
0.250 0.416 0.432
0.750 0.912 0.262
0.250 0.416 0.094
0.750 0.584 0.568
0.250 0.088 0.738
0.750 0.588 0.762
0.750 0.916 0.406
0.250 0.084 0.932
0.750 0.584 0.906
```

(2)
Here is a geometry-optimized CaIn2Au structure from Materials Project. Energies are from GGA-PBE.

Cell and atoms, written as POSCAR:
```
CaIn2Au
1.0
-0.205 -2.773 -3.684
4.987 -0.720 3.156
-3.489 -5.424 4.276
Ca Au In
2 2 4
direct
0.075 0.149 0.750
0.925 0.851 0.250
0.212 0.424 0.250
0.788 0.576 0.750
0.365 0.730 0.551
0.635 0.270 0.449
0.365 0.730 0.949
0.635 0.270 0.051
```

(3)
Here is a geometry-optimized Ca3InAu3 structure from Materials Project. Energies are from GGA-PBE.

Cell and atoms, written as POSCAR:
```
Ca3InAu3
1.0
4.632 0.000 0.000
0.000 9.054 0.000
0.000 0.000 16.796
Ca Au In
12 12 4
direct
0.750 0.025 0.845
0.750 0.475 0.345
0.750 0.870 0.634
0.250 0.750 0.445
0.250 0.975 0.155
0.250 0.370 0.866
0.250 0.130 0.366
0.250 0.750 0.945
0.750 0.630 0.134
0.750 0.250 0.055
0.250 0.525 0.655
0.750 0.250 0.555
0.250 0.826 0.762
0.750 0.174 0.238
0.250 0.034 0.548
0.750 0.915 0.030
0.250 0.085 0.970
0.750 0.966 0.452
0.250 0.674 0.262
0.750 0.326 0.738
0.250 0.466 0.048
0.750 0.534 0.952
0.750 0.585 0.530
0.250 0.415 0.470
0.250 0.364 0.207
0.250 0.136 0.707
0.750 0.636 0.793
0.750 0.864 0.293
```

(4)
Here is a geometry-optimized CaLaAu2 structure from Materials Project. Energies are from GGA-PBE.

Cell and atoms, written as POSCAR:
```
CaLaAu2
1.0
0.000 3.722 3.722
3.722 0.000 3.722
3.722 3.722 0.000
Au La Ca
2 1 1
direct
0.750 0.750 0.750
0.250 0.250 0.250
0.000 0.000 0.000
0.500 0.500 0.500
```

(5)
Here is a geometry-optimized Ca5Au2N4 structure from Materials Project. Energies are from GGA-PBE.

Summary:
total magnetic moment = 0.00 μB/cell

Cell and atoms, written as POSCAR:
```
Ca5Au2N4
1.0
8.017 0.000 0.000
0.000 8.017 0.000
0.000 0.000 13.190
Ca Au N
20 8 16
direct
0.923 0.133 0.415
0.750 0.750 0.369
0.750 0.750 0.869
0.077 0.867 0.585
0.633 0.423 0.085
0.133 0.577 0.415
0.923 0.367 0.915
0.250 0.250 0.131
0.133 0.923 0.915
0.077 0.633 0.085
0.867 0.423 0.585
0.633 0.077 0.585
0.367 0.923 0.415
0.867 0.077 0.085
0.250 0.250 0.631
0.577 0.133 0.915
0.423 0.633 0.585
0.423 0.867 0.085
0.367 0.577 0.915
0.577 0.367 0.415
0.908 0.408 0.250
0.092 0.908 0.250
0.592 0.092 0.250
0.092 0.592 0.750
0.908 0.092 0.750
0.408 0.908 0.750
0.408 0.592 0.250
0.592 0.408 0.750
0.450 0.862 0.905
0.550 0.138 0.095
0.638 0.450 0.905
0.550 0.362 0.595
0.050 0.638 0.905
0.450 0.638 0.405
0.362 0.550 0.095
0.950 0.362 0.095
0.862 0.450 0.405
0.138 0.550 0.595
0.862 0.050 0.905
0.050 0.862 0.405
0.950 0.138 0.595
0.362 0.950 0.595
0.638 0.050 0.405
0.138 0.950 0.095
```

(6)
Here is a geometry-optimized Ca2PbAu2 structure from Materials Project. Energies are from GGA-PBE.

Cell and atoms, written as POSCAR:
```
Ca2PbAu2
1.0
-7.376 0.979 -3.625
-1.533 -8.079 0.938
-1.553 0.683 3.346
Au Pb Ca
4 2 4
direct
0.877 0.377 0.000
0.123 0.623 0.000
0.623 0.877 0.000
0.377 0.123 0.000
0.500 0.500 0.000
0.000 0.000 0.000
0.327 0.827 0.500
0.673 0.173 0.500
0.173 0.327 0.500
0.827 0.673 0.500
```

(7)
Here is a geometry-optimized Ca2PdAu structure from Materials Project. Energies are from GGA-PBE.

Cell and atoms, written as POSCAR:
```
Ca2PdAu
1.0
2.871 -4.094 -0.952
-2.154 -4.271 -1.739
0.805 -1.483 -4.802
Pd Ca Au
1 2 1
direct
0.000 0.000 0.000
0.250 0.250 0.250
0.750 0.750 0.750
0.500 0.500 0.500
```

(8)
Here is a geometry-optimized Ca2PtAu structure from Materials Project. Energies are from GGA-PBE.

Summary:
total magnetic moment = 0.00 μB/cell

Cell and atoms, written as POSCAR:
```
Ca2PtAu
1.0
0.000 3.573 3.573
3.573 0.000 3.573
3.573 3.573 0.000
Au Ca Pt
1 2 1
direct
0.500 0.500 0.500
0.750 0.750 0.750
0.250 0.250 0.250
0.000 0.000 0.000
```

| no. | formation enthalpy at 0 K (eV/atom) |
| --- | --- |
| 1 | -0.722 |
| 2 | -0.523 |
| 3 | -0.752 |
| 4 | -0.826 |
| 5 | -0.817 |
| 6 | -0.701 |
| 7 | -0.744 |
| 8 | -0.842 |